The following is a DFT calculation (PBE) of an optimized crystal structure of LaSm3.

## Properties
The formation energy comes out at 0.0341 eV per atom.

Cell: 7.3357 7.3357 6.0013 Å, 90.00 90.00 120.00°
With the nearest neighbours (Å) after each atom.
Fractional positions:
Sm 0.6692 0.8346 0.2500  8 Sm 3.64-3.70, 4 La 3.67-3.68
Sm 0.3308 0.1654 0.7500  8 Sm 3.64-3.70, 4 La 3.67-3.68
Sm 0.8346 0.6692 0.7500  8 Sm 3.64-3.70, 4 La 3.67-3.68
Sm 0.8346 0.1654 0.7500  8 Sm 3.64-3.70, 4 La 3.67-3.68
Sm 0.1654 0.8346 0.2500  8 Sm 3.64-3.70, 4 La 3.67-3.68
Sm 0.1654 0.3308 0.2500  8 Sm 3.64-3.70, 4 La 3.67-3.68
La 0.3333 0.6667 0.7500  12 Sm 3.67-3.68
La 0.6667 0.3333 0.2500  12 Sm 3.67-3.68